1.
! PBE with a Hubbard U CoCO3, relaxed; values from VASP
! * energy of formation from the pure elements: -1.25 eV per atom
! * total energy: -6.7461 eV per atom
&SYSTEM
  ibrav = 0, nat = 10, ntyp = 3
/
ATOMIC_SPECIES
O 16.00 O.upf
Co 58.93 Co.upf
C 12.01 C.upf
ATOMIC_POSITIONS angstrom
O 6.605 2.108 3.212
O 5.597 -2.209 1.690
O 5.769 1.200 6.092
O 7.088 -0.159 3.596
O 5.114 0.058 1.307
O 6.434 -1.301 -1.190
Co 0.000 0.000 0.000
Co 1.999 1.944 0.639
C 5.364 -1.077 1.478
C 6.839 0.976 3.424
CELL_PARAMETERS angstrom
2.386 -1.636 6.091
5.818 -2.353 -2.467
3.998 3.888 1.278

=====

2.
! PBE with a Hubbard U CoC4O4, relaxed; values from VASP
! * energy of formation from the pure elements: -0.81 eV per atom
! * energy above the lowest structure with this stoichiometry: 0 meV/atom
! * total energy: -7.4095 eV per atom
&SYSTEM
  ibrav = 0, nat = 72, ntyp = 3
/
ATOMIC_SPECIES
O 16.00 O.upf
C 12.01 C.upf
Co 58.93 Co.upf
ATOMIC_POSITIONS angstrom
O -3.691 -4.200 -7.970
O -7.941 -4.890 -11.952
O 2.892 -2.917 -4.870
O 3.915 -7.514 -4.258
O -0.566 -11.406 -7.061
O -4.343 -8.233 -10.893
O -2.566 -2.657 -5.559
O 1.697 -8.413 -1.687
O -5.677 -1.897 -6.578
O -9.136 -10.387 -8.768
O -9.604 -2.535 -10.257
O -2.552 -9.103 -5.669
O -3.869 -4.939 -11.971
O -5.826 -9.849 -5.667
O -0.287 -8.197 -8.195
O 3.360 -10.768 -3.381
O -6.766 -2.209 -9.352
O -5.957 -5.107 -5.443
O -1.900 -5.070 -2.745
O -2.932 -5.818 -5.387
O 0.879 -5.199 -1.817
O -2.375 -8.364 -1.667
O -3.312 -7.485 -8.251
O -10.159 -5.789 -9.381
O 0.490 -2.161 -2.695
O 0.522 -11.094 -4.286
O -3.678 -10.646 -8.080
O -6.106 -5.470 -9.491
O -6.734 -11.142 -10.943
O -0.417 -3.454 -7.971
O -0.137 -7.833 -4.147
O -7.123 -8.104 -11.822
C -1.888 -9.383 -2.011
C -5.368 -2.927 -13.804
C -4.356 -3.920 -11.628
C -7.120 -4.074 -11.978
C -0.209 -7.305 -7.459
C 1.155 -5.331 -2.932
C -6.527 -6.391 -8.882
C 1.767 -5.688 -6.552
C -3.635 -11.757 -8.406
C 0.284 -6.912 -4.756
C 3.035 -6.778 -4.419
C -3.911 -10.869 -2.679
C -2.609 -1.546 -5.232
C -8.011 -7.616 -7.086
C -9.279 -6.526 -9.219
C -4.418 -7.488 -7.913
C 0.876 -9.229 -1.660
C -5.936 -8.895 -6.317
C 2.410 -3.966 -4.775
C -0.290 -10.867 -3.458
C -7.399 -7.972 -10.707
C -3.846 -3.542 -8.911
C -0.018 -1.125 -2.805
C -8.654 -9.337 -8.863
C -0.875 -10.376 0.166
C -5.953 -2.436 -10.180
C -2.332 -2.434 -10.960
C -2.398 -9.761 -4.728
C -1.826 -5.815 -5.725
C -0.308 -4.408 -7.321
C -6.034 -5.999 -6.179
C -6.226 -12.178 -10.833
Co -2.220 -10.798 -3.294
Co -7.953 -7.695 -9.020
Co -0.147 -5.910 -6.357
Co -4.024 -2.505 -10.344
Co -0.367 -10.497 -1.558
Co -5.877 -2.806 -12.080
Co 1.710 -5.609 -4.618
Co -6.097 -7.393 -7.281
CELL_PARAMETERS angstrom
-11.124 -1.807 -10.423
4.464 -0.514 -4.675
0.416 -10.983 1.459

=====

3.
! PBE with a Hubbard U CoCO3, relaxed; values from VASP
! * energy of formation from the pure elements: -1.67 eV per atom
! * total energy: -7.1676 eV per atom
&SYSTEM
  ibrav = 0, nat = 10, ntyp = 3
/
ATOMIC_SPECIES
O 16.00 O.upf
Co 58.93 Co.upf
C 12.01 C.upf
ATOMIC_POSITIONS angstrom
O 1.682 -2.939 -2.304
O 1.475 -5.432 -0.561
O 1.437 -3.368 1.590
O -0.352 -5.598 0.739
O -0.144 -3.104 -1.004
O -0.106 -5.168 -3.155
Co 0.000 0.000 0.000
Co -0.618 -3.503 1.037
C 0.356 -6.019 -0.264
C 0.974 -2.517 -1.301
CELL_PARAMETERS angstrom
-1.492 -3.661 -2.560
2.568 -1.531 -3.639
0.255 -3.345 4.634

=====

4.
! PBE with a Hubbard U Co2C3O9, relaxed; values from VASP
! * energy of formation from the pure elements: -1.46 eV per atom
! * total energy: -6.9609 eV per atom
&SYSTEM
  ibrav = 0, nat = 28, ntyp = 3
/
ATOMIC_SPECIES
O 16.00 O.upf
Co 58.93 Co.upf
C 12.01 C.upf
ATOMIC_POSITIONS angstrom
O -1.468 5.791 2.935
O -2.059 1.452 -0.390
O -5.530 -0.003 -3.355
O -3.470 1.519 3.358
O -1.071 0.928 2.149
O -4.705 1.970 0.824
O -4.935 4.184 0.456
O -3.003 3.288 1.255
O -4.487 -0.444 1.869
O -2.406 -3.574 4.978
O -1.205 5.276 0.798
O -0.800 -2.066 4.999
O -4.325 -1.745 -2.700
O -4.549 -0.665 -0.348
O -2.574 -0.436 3.998
O -3.262 1.033 5.541
O -2.119 -1.267 0.635
O -5.944 -1.879 0.913
Co -0.682 -0.684 3.681
Co -3.080 0.958 1.478
Co -3.084 -1.649 -1.210
Co -1.427 3.549 0.014
C -3.108 0.717 4.270
C -5.458 -1.138 -2.755
C -1.917 -2.505 5.491
C -4.984 -0.986 0.832
C -1.949 5.783 1.737
C -4.237 3.153 0.826
CELL_PARAMETERS angstrom
-5.437 -2.628 -4.356
-0.426 -3.310 6.852
-0.985 7.537 0.816

=====

5.
! PBE with a Hubbard U CoC4O4, relaxed; values from VASP
! * energy of formation from the pure elements: -0.70 eV per atom
! * energy above the lowest structure with this stoichiometry: 111 meV/atom
! * total energy: -7.2989 eV per atom
&SYSTEM
  ibrav = 0, nat = 9, ntyp = 3
/
ATOMIC_SPECIES
O 16.00 O.upf
C 12.01 C.upf
Co 58.93 Co.upf
ATOMIC_POSITIONS angstrom
O 4.596 4.596 1.169
O 4.596 1.169 4.596
O 1.169 4.596 4.596
O 1.169 1.169 1.169
C 1.838 1.838 1.838
C 1.838 3.928 3.928
C 3.928 1.838 3.928
C 3.928 3.928 1.838
Co 2.883 2.883 2.883
CELL_PARAMETERS angstrom
5.765 0.000 0.000
0.000 5.765 0.000
0.000 0.000 5.765

=====

6.
! PBE with a Hubbard U Co6C13S2O12, relaxed; values from VASP
! * energy of formation from the pure elements: -0.60 eV per atom
! * total energy: -6.9960 eV per atom
&SYSTEM
  ibrav = 0, nat = 66, ntyp = 4
/
ATOMIC_SPECIES
O 16.00 O.upf
C 12.01 C.upf
Co 58.93 Co.upf
S 32.06 S.upf
ATOMIC_POSITIONS angstrom
O -1.260 -1.144 1.064
O -4.024 -3.557 5.423
O -11.198 -4.381 6.610
O -9.525 -5.921 9.219
O -7.895 -3.880 10.631
O -9.660 -2.165 8.104
O -4.915 -8.822 11.500
O -13.176 -8.182 5.902
O -9.236 -13.426 10.489
O -2.420 -5.181 7.897
O -7.864 -4.169 0.978
O -11.634 -11.720 11.410
O -14.780 -10.191 13.984
O -7.962 -9.096 8.870
O -4.846 -3.476 2.059
O -7.885 -4.447 7.145
O -11.064 -9.850 14.379
O -11.051 -2.455 3.463
O -7.447 -2.114 3.850
O -6.293 -6.205 9.698
O -9.530 -7.519 6.496
O -8.464 -11.138 12.344
O -5.449 -5.707 0.187
O -11.501 -9.732 8.301
C -5.320 -7.625 5.776
C -7.567 -9.185 3.952
C -8.008 -10.129 12.680
C -10.293 -8.949 14.389
C -3.284 -5.946 7.717
C -14.428 -11.213 13.560
C -4.492 -2.341 2.084
C -7.087 -5.002 6.518
C -11.729 -8.750 8.872
C -4.746 -4.464 5.450
C -8.532 -7.652 5.869
C -10.550 -6.458 9.416
C -8.948 -4.439 1.340
C -7.306 -7.893 14.930
C -2.335 -0.946 1.476
C -10.854 -3.412 2.840
C -14.450 -9.327 10.104
C -13.241 -7.298 6.652
C -13.336 -5.079 3.401
C -5.861 -8.704 12.159
C -10.226 -6.383 14.996
C -6.779 -1.178 3.643
C -5.610 -6.573 8.797
C -12.038 -5.000 7.111
C -12.513 -12.162 12.020
C -7.090 -9.088 8.091
Co -13.363 -5.958 7.787
Co -5.783 0.251 3.361
Co -7.032 -7.840 4.963
Co -10.553 -4.866 1.881
Co -7.292 -8.564 13.150
Co -3.946 -0.666 2.118
Co -12.077 -7.246 9.735
Co -5.850 -5.815 5.524
Co -13.915 -12.768 12.913
Co -5.775 -9.112 6.914
Co -4.579 -7.107 7.471
Co -9.122 -7.631 14.411
S -12.313 -7.685 11.826
S -8.596 -7.019 12.418
S -10.513 -6.568 3.195
S -6.730 -6.204 3.600
CELL_PARAMETERS angstrom
-8.413 1.389 3.869
-6.688 -6.480 -0.977
-2.190 -8.670 13.300

=====

7.
! PBE with a Hubbard U Co8C24S3O21, relaxed; values from VASP
! * energy of formation from the pure elements: -0.63 eV per atom
! * total energy: -7.1544 eV per atom
&SYSTEM
  ibrav = 0, nat = 112, ntyp = 4
/
ATOMIC_SPECIES
O 16.00 O.upf
C 12.01 C.upf
Co 58.93 Co.upf
S 32.06 S.upf
ATOMIC_POSITIONS angstrom
O 1.912 -8.327 5.900
O -1.878 -7.764 10.486
O -1.762 -8.047 6.270
O -5.037 -4.464 12.392
O -5.558 -6.494 21.047
O -2.645 -1.022 2.094
O -2.841 -3.116 14.937
O 0.213 -4.188 14.816
O -7.894 -7.818 17.933
O -1.959 -9.883 15.350
O -1.183 -3.519 17.998
O -4.871 -9.233 22.889
O 4.753 -5.291 0.211
O -4.877 -6.825 6.652
O -2.436 -6.216 23.074
O 0.538 -8.194 14.444
O -3.198 -4.040 7.711
O -4.697 -9.532 18.677
O 1.085 -8.426 17.705
O -9.477 -6.078 20.465
O -2.329 -3.909 10.514
O 0.346 -5.871 8.802
O -3.915 -6.978 2.677
O -1.468 -10.152 19.404
O 1.080 -8.913 9.931
O -0.588 -9.650 22.636
O -5.929 -4.053 4.757
O -8.358 -4.667 8.462
O -5.434 -5.363 23.994
O 3.916 -7.628 8.627
O -7.911 -8.640 22.008
O -1.991 -5.914 12.955
O -1.530 -3.711 0.413
O -5.671 -5.838 9.792
O 0.480 -1.743 2.551
O 0.550 -4.763 11.753
O -1.434 -1.109 5.418
O -5.019 -4.244 1.575
O -1.497 -6.871 20.371
O -8.089 -3.901 12.079
O 1.858 -4.128 0.201
O 2.426 -10.134 21.615
C -2.640 -6.563 13.664
C -2.870 -6.520 2.479
C 1.162 -7.835 13.535
C -6.473 -5.866 24.058
C -3.956 -3.785 20.391
C -1.402 -4.586 1.164
C 1.474 -8.254 10.791
C -0.294 -7.898 0.049
C 4.008 -7.104 9.656
C -2.107 -5.404 23.826
C 3.007 -4.949 6.888
C -5.077 -8.100 13.574
C -7.515 -6.415 14.200
C -0.167 -7.188 1.275
C -5.277 -6.323 19.907
C -2.572 -8.944 15.061
C -0.738 -1.951 5.796
C -2.991 -8.079 10.531
C 1.582 -9.384 18.117
C -5.311 -5.260 13.188
C 0.265 -4.333 4.787
C -3.146 -8.124 -0.512
C -2.254 -3.848 18.280
C -2.898 -10.534 12.068
C 1.753 -7.185 6.002
C -7.109 -4.350 18.904
C -5.228 -8.803 12.347
C -1.496 -10.320 22.892
C -5.261 -3.634 0.619
C -2.555 -2.562 13.960
C 0.513 -2.745 8.067
C -4.342 -8.428 18.655
C -2.300 -4.513 7.156
C -9.377 -5.557 21.495
C 1.584 -4.924 0.996
C -5.292 -6.881 10.119
C -7.977 -7.848 22.844
C -2.447 -6.807 19.714
C 1.148 -5.741 11.906
C -6.898 -4.586 5.089
C 2.716 -7.048 2.190
C -1.468 -6.925 6.245
C -4.109 -10.092 23.037
C -7.161 -6.935 18.084
C 0.633 -1.150 1.566
C -2.248 -3.026 11.252
C 0.316 -5.609 7.645
C -4.268 -5.354 17.108
Co -3.896 -6.729 18.702
Co -5.761 -6.460 14.379
Co -4.709 -8.499 10.522
Co 1.202 -6.144 2.191
Co -0.941 -5.250 6.296
Co 1.483 -5.449 6.172
Co -8.022 -2.458 -0.642
Co -3.610 -7.549 14.738
Co -6.025 -5.607 18.331
Co -1.221 -5.905 2.301
Co -2.889 -11.364 23.188
Co 2.075 -7.220 12.165
Co 0.467 -3.156 6.306
Co -8.067 -6.613 24.180
Co -3.961 -4.208 18.632
Co 4.235 -8.352 12.591
S -0.141 -7.680 2.950
S 1.720 -4.773 3.945
S -5.529 -8.453 15.223
S -5.640 -4.974 16.111
S -1.329 -4.505 4.113
S -2.954 -6.371 16.591
CELL_PARAMETERS angstrom
-8.881 -2.220 -0.721
6.344 -6.638 0.107
-2.505 -3.947 24.997

=====

8.
! PBE with a Hubbard U Sr2CoC2O2, relaxed; values from VASP
! * energy of formation from the pure elements: -1.12 eV per atom
! * total energy: -6.2375 eV per atom
&SYSTEM
  ibrav = 0, nat = 7, ntyp = 4
/
ATOMIC_SPECIES
C 12.01 C.upf
Co 58.93 Co.upf
O 16.00 O.upf
Sr 87.62 Sr.upf
ATOMIC_POSITIONS angstrom
C 0.324 -0.487 -0.239
C 3.305 -4.974 -2.438
Co 1.814 -2.731 -1.339
O 0.164 -3.473 -2.061
O 1.538 -3.724 0.314
Sr -0.960 -3.191 0.217
Sr 0.735 -5.743 -1.034
CELL_PARAMETERS angstrom
-0.553 -1.988 3.306
-3.300 -1.485 -1.445
3.628 -5.461 -2.677